Computed, not measured: a relaxed CsSmGeSe4 crystal at the PBE level of DFT.

Total energy after the MP2020 corrections   -136.93 eV per cell
Calculated formation energy   -10.01 eV/f.u.

Geometry as CIF:
```
data_CsSmGeSe4
_space_group_name_H-M_alt 'P 21 21 21'
_space_group_IT_number 19
_cell_length_a 6.868
_cell_length_b 7.198
_cell_length_c 18.947
_cell_angle_alpha 90.00
_cell_angle_beta 90.00
_cell_angle_gamma 90.00
loop_
_space_group_symop_operation_xyz
'x,y,z'
'-x+1/2,-y,z+1/2'
'x+1/2,-y+1/2,-z'
'-x,y+1/2,-z+1/2'
loop_
_atom_site_label
_atom_site_fract_x
_atom_site_fract_y
_atom_site_fract_z
_atom_site_occupancy
Cs1 0.005 0.006 0.032 1
Sm1 0.207 0.519 0.727 1
Ge1 0.210 0.017 0.333 1
Se1 0.056 0.744 0.853 1
Se2 0.065 0.513 0.091 1
Se3 0.096 0.256 0.845 1
Se4 0.098 0.086 0.217 1
```